No. 1
The following is a PBE-GGA calculation of a relaxed La2MgS4 crystal, from the Materials Project.

Values from the calculation:
polymorph energy (0 for the lowest one): 0.075 eV/atom
DFT formation energy: -2.1335 eV/atom

Cell: 13.2479 4.0421 14.1428 Å, 90.00 90.00 90.00°
Space group Pnma (No. 62)
Inequivalent atoms, fractional coordinates:
La 0.1243 0.2500 0.0755 [4 per cell]
La 0.1282 0.2500 0.7100 [4 per cell]
Mg 0.1046 0.7500 0.4650 [4 per cell]
S 0.0010 0.2500 0.3868 [4 per cell]
S 0.0225 0.2500 0.8889 [4 per cell]
S 0.2268 0.2500 0.5187 [4 per cell]
S 0.2344 0.2500 0.2457 [4 per cell]

No. 2
The following is a PBE-GGA calculation of a relaxed Zr3Pt crystal, from the Materials Project.

Values from the calculation:
DFT formation energy: -0.4066 eV/atom

Cell: 6.0810 6.0810 5.1306 Å, 90.00 90.00 120.00°
Space group P6_3/mmc (No. 194)
Inequivalent atoms, fractional coordinates:
Zr 0.1730 0.3461 0.2500 [6 per cell]
Pt 0.3333 0.6667 0.7500 [2 per cell]

No. 3
The following is a PBE-GGA calculation of a relaxed MgSi2 crystal, from the Materials Project.

Values from the calculation:
polymorph energy (0 for the lowest one): 0.080 eV/atom
DFT formation energy: 0.1574 eV/atom

Cell: 10.1021 3.8051 12.3545 Å, 90.00 109.05 90.00°
Space group C2/m (No. 12)
Inequivalent atoms, fractional coordinates:
Mg 0.1304 0.0000 0.1704 [4 per cell]
Mg 0.1791 0.5000 0.3884 [4 per cell]
Si 0.0450 0.0000 0.6842 [4 per cell]
Si 0.0929 0.5000 0.9613 [4 per cell]
Si 0.1038 0.5000 0.5873 [4 per cell]
Si 0.1800 0.0000 0.8814 [4 per cell]

No. 4
The following is a PBE-GGA calculation of a relaxed AgSnF6 crystal, from the Materials Project.

Values from the calculation:
polymorph energy (0 for the lowest one): 0.000 eV/atom
DFT formation energy: -2.2662 eV/atom

Cell: 5.3297 5.4673 5.7471 Å, 64.10 89.46 61.46°
Space group P-1 (No. 2)
Inequivalent atoms, fractional coordinates:
Ag 0.0000 0.0000 0.0000 [1 per cell]
Sn 0.5000 0.0000 0.5000 [1 per cell]
F 0.1295 0.1284 0.2615 [2 per cell]
F 0.2549 0.1440 0.7396 [2 per cell]
F 0.4223 0.4335 0.2802 [2 per cell]

No. 5
The following is a PBE-GGA calculation of a relaxed CaMg2Sb2 crystal, from the Materials Project.

Values from the calculation:
DFT formation energy: -0.7876 eV/atom

Cell: 4.6931 4.6931 7.5863 Å, 90.00 90.00 120.00°
Space group P-3m1 (No. 164)
Inequivalent atoms, fractional coordinates:
Ca 0.0000 0.0000 0.0000 [1 per cell]
Mg 0.3333 0.6667 0.3688 [2 per cell]
Sb 0.3333 0.6667 0.7558 [2 per cell]

No. 6
The following is a PBE-GGA calculation of a relaxed TlInSe2 crystal, from the Materials Project.

Values from the calculation:
DFT formation energy: -0.4269 eV/atom

Cell: 8.1450 8.1450 7.0968 Å, 90.00 90.00 90.00°
Space group I4/mcm (No. 140)
Inequivalent atoms, fractional coordinates:
Tl 0.0000 0.5000 0.2500 [4 per cell]
In 0.0000 0.0000 0.2500 [4 per cell]
Se 0.1808 0.3192 0.0000 [8 per cell]

No. 7
The following is a PBE-GGA calculation of a relaxed Ba2LuB2ClO6 crystal, from the Materials Project.

Values from the calculation:
DFT formation energy: -3.2875 eV/atom

Cell: 6.4252 5.3115 11.3839 Å, 90.00 96.01 90.00°
Space group P2_1/m (No. 11)
Inequivalent atoms, fractional coordinates:
Ba 0.0946 0.2500 0.2036 [2 per cell]
Ba 0.3433 0.2500 0.5793 [2 per cell]
Lu 0.3470 0.2500 0.9161 [2 per cell]
B 0.2106 0.7500 0.0688 [2 per cell]
B 0.3749 0.7500 0.7309 [2 per cell]
Cl 0.1481 0.7500 0.4114 [2 per cell]
O 0.0041 0.7500 0.0873 [2 per cell]
O 0.2910 0.5199 0.7680 [4 per cell]
O 0.3302 0.5288 0.0631 [4 per cell]
O 0.4822 0.2500 0.3524 [2 per cell]

No. 8
The following is a PBE-GGA calculation of a relaxed U2I2N crystal, from the Materials Project.

Values from the calculation:
DFT formation energy: 0.1549 eV/atom

Cell: 3.7456 3.7456 14.7054 Å, 90.00 90.00 90.00°
Space group P4/mmm (No. 123)
Inequivalent atoms, fractional coordinates:
U 0.0000 0.0000 0.1354 [2 per cell]
I 0.0000 0.0000 0.3311 [2 per cell]
N 0.0000 0.0000 0.0000 [1 per cell]

No. 9
The following is a PBE-GGA calculation of a relaxed Na2La3TaSi2S4O24 crystal, from the Materials Project.

Values from the calculation:
DFT formation energy: -2.7503 eV/atom

Cell: 9.3564 9.3586 24.5668 Å, 90.44 90.24 119.96°
Space group P1 (No. 1)
Inequivalent atoms, fractional coordinates:
Na 0.0000 0.0000 0.0000 [1 per cell]
Na 0.0095 0.0163 0.5008 [1 per cell]
Na 0.2875 0.6482 0.6593 [1 per cell]
Na 0.3348 0.6298 0.1694 [1 per cell]
Na 0.6176 0.3218 0.3421 [1 per cell]
Na 0.6490 0.3253 0.8200 [1 per cell]
La 0.2917 0.6380 0.8083 [1 per cell]
La 0.3076 0.6256 0.0237 [1 per cell]
La 0.3174 0.6300 0.3115 [1 per cell]
La 0.6272 0.2994 0.4805 [1 per cell]
La 0.6269 0.3068 0.9796 [1 per cell]
La 0.9673 0.9522 0.8380 [1 per cell]
La 0.9706 0.9755 0.3534 [1 per cell]
La 0.9725 0.9765 0.1490 [1 per cell]
La 0.9867 0.9728 0.6440 [1 per cell]
Ta 0.2916 0.6282 0.5200 [1 per cell]
Ta 0.6298 0.3167 0.1827 [1 per cell]
Ta 0.6510 0.3059 0.6719 [1 per cell]
Si 0.2972 0.3460 0.4187 [1 per cell]
Si 0.3431 0.3057 0.0842 [1 per cell]
Si 0.3548 0.9992 0.5798 [1 per cell]
Si 0.6768 0.6724 0.2448 [1 per cell]
Si 0.9396 0.3144 0.5772 [1 per cell]
Si 0.9508 0.6480 0.7429 [1 per cell]
S 0.0039 0.3325 0.9147 [1 per cell]
S 0.0302 0.6486 0.4204 [1 per cell]
S 0.2964 0.9929 0.2438 [1 per cell]
S 0.2969 0.2770 0.7455 [1 per cell]
S 0.2991 0.9356 0.9157 [1 per cell]
S 0.5926 0.9193 0.4201 [1 per cell]
S 0.6091 0.6484 0.9138 [1 per cell]
S 0.6144 0.5871 0.5838 [1 per cell]
S 0.6341 0.0224 0.0861 [1 per cell]
S 0.6704 0.9946 0.7425 [1 per cell]
S 0.9254 0.5858 0.0876 [1 per cell]
S 0.9505 0.2782 0.2438 [1 per cell]
O 0.0198 0.8018 0.4234 [1 per cell]
O 0.0872 0.4501 0.2490 [1 per cell]
O 0.0888 0.5965 0.0907 [1 per cell]
O 0.0912 0.4290 0.8659 [1 per cell]
O 0.0992 0.4201 0.9650 [1 per cell]
O 0.1067 0.6144 0.7482 [1 per cell]
O 0.1144 0.6451 0.3709 [1 per cell]
O 0.1259 0.4917 0.5702 [1 per cell]
O 0.1267 0.1653 0.4207 [1 per cell]
O 0.1334 0.6543 0.4710 [1 per cell]
O 0.1496 0.9547 0.9144 [1 per cell]
O 0.1625 0.1434 0.0851 [1 per cell]
O 0.1686 0.9590 0.5897 [1 per cell]
O 0.1870 0.2026 0.6985 [1 per cell]
O 0.1947 0.9724 0.1958 [1 per cell]
O 0.2215 0.1811 0.7958 [1 per cell]
O 0.2325 0.0300 0.2936 [1 per cell]
O 0.2941 0.4392 0.3639 [1 per cell]
O 0.2954 0.8443 0.9653 [1 per cell]
O 0.2988 0.4677 0.4734 [1 per cell]
O 0.3033 0.8478 0.8658 [1 per cell]
O 0.3214 0.8509 0.2489 [1 per cell]
O 0.3289 0.4490 0.7523 [1 per cell]
O 0.3400 0.4796 0.0890 [1 per cell]
O 0.3517 0.8184 0.5700 [1 per cell]
O 0.4276 0.1090 0.5272 [1 per cell]
O 0.4364 0.3036 0.0291 [1 per cell]
O 0.4498 0.1016 0.9148 [1 per cell]
O 0.4543 0.5886 0.5814 [1 per cell]
O 0.4590 0.2841 0.7366 [1 per cell]
O 0.4641 0.3345 0.4172 [1 per cell]
O 0.4669 0.3089 0.1368 [1 per cell]
O 0.4679 0.1445 0.2340 [1 per cell]
O 0.4783 0.8603 0.0876 [1 per cell]
O 0.4822 0.1131 0.6335 [1 per cell]
O 0.4862 0.6303 0.2453 [1 per cell]
O 0.4924 0.8215 0.4679 [1 per cell]
O 0.5004 0.8529 0.7487 [1 per cell]
O 0.5060 0.8446 0.3683 [1 per cell]
O 0.5134 0.6400 0.8647 [1 per cell]
O 0.5226 0.6530 0.9641 [1 per cell]
O 0.6017 0.4737 0.6309 [1 per cell]
O 0.6209 0.0893 0.4207 [1 per cell]
O 0.6291 0.5002 0.9139 [1 per cell]
O 0.6357 0.1240 0.1340 [1 per cell]
O 0.6432 0.5255 0.5333 [1 per cell]
O 0.6435 0.1077 0.0348 [1 per cell]
O 0.6577 0.1488 0.7330 [1 per cell]
O 0.6589 0.4816 0.2311 [1 per cell]
O 0.7498 0.7554 0.5945 [1 per cell]
O 0.7515 0.9670 0.6962 [1 per cell]
O 0.7542 0.9238 0.4213 [1 per cell]
O 0.7670 0.0246 0.7938 [1 per cell]
O 0.7681 0.7765 0.1916 [1 per cell]
O 0.7752 0.8005 0.9135 [1 per cell]
O 0.7781 0.9985 0.0881 [1 per cell]
O 0.7803 0.4672 0.7285 [1 per cell]
O 0.7850 0.7508 0.3006 [1 per cell]
O 0.7945 0.2846 0.2327 [1 per cell]
O 0.8238 0.4797 0.1348 [1 per cell]
O 0.8338 0.3400 0.6315 [1 per cell]
O 0.8381 0.3011 0.5245 [1 per cell]
O 0.8383 0.3171 0.9158 [1 per cell]
O 0.8416 0.5075 0.0360 [1 per cell]
O 0.8668 0.5011 0.4226 [1 per cell]
O 0.9200 0.7201 0.8010 [1 per cell]
O 0.9245 0.1812 0.2937 [1 per cell]
O 0.9421 0.7496 0.0907 [1 per cell]
O 0.9732 0.1666 0.5893 [1 per cell]
O 0.9816 0.7755 0.6953 [1 per cell]
O 0.9827 0.2018 0.1966 [1 per cell]
O 0.9889 0.1663 0.9125 [1 per cell]

No. 10
The following is a PBE-GGA calculation of a relaxed IrO3 crystal, from the Materials Project.

Values from the calculation:
DFT formation energy: -0.9822 eV/atom

Cell: 7.1341 7.2949 7.3413 Å, 90.00 90.00 90.00°
Space group Cmcm (No. 63)
Inequivalent atoms, fractional coordinates:
Ir 0.2500 0.2500 0.0000 [8 per cell]
O 0.0000 0.1716 0.0737 [8 per cell]
O 0.1709 0.5000 0.0000 [8 per cell]
O 0.1751 0.2269 0.7500 [8 per cell]

No. 11
The following is a PBE-GGA calculation of a relaxed LaNi5H7 crystal, from the Materials Project.

Values from the calculation:
DFT formation energy: -0.3199 eV/atom

Cell: 5.3961 9.3171 8.6161 Å, 90.00 90.00 90.00°
Space group Cc (No. 9)
Inequivalent atoms, fractional coordinates:
La 0.0000 0.0000 0.0000 [4 per cell]
Ni 0.0000 0.3333 0.4543 [4 per cell]
Ni 0.9998 0.3333 0.9765 [4 per cell]
Ni 0.2507 0.2535 0.7216 [4 per cell]
Ni 0.2546 0.2520 0.2215 [4 per cell]
Ni 0.4944 0.0013 0.2215 [4 per cell]
H 0.9999 0.3333 0.7891 [4 per cell]
H 0.0052 0.1627 0.2590 [4 per cell]
H 0.2414 0.0840 0.7590 [4 per cell]
H 0.2472 0.2570 0.5303 [4 per cell]
H 0.2530 0.4215 0.2590 [4 per cell]
H 0.2618 0.2521 0.0303 [4 per cell]
H 0.4906 0.0049 0.0304 [4 per cell]

No. 12
The following is a PBE-GGA calculation of a relaxed Sb2C3N6 crystal, from the Materials Project.

Values from the calculation:
polymorph energy (0 for the lowest one): 0.070 eV/atom
DFT formation energy: 0.1696 eV/atom

Cell: 14.8460 3.8581 5.2475 Å, 90.00 96.99 90.00°
Space group C2/m (No. 12)
Inequivalent atoms, fractional coordinates:
Sb 0.1328 0.0000 0.0824 [4 per cell]
C 0.0000 0.0000 0.5000 [2 per cell]
C 0.1730 0.5000 0.5783 [4 per cell]
N 0.0011 0.0000 0.7359 [4 per cell]
N 0.1541 0.5000 0.3419 [4 per cell]
N 0.1947 0.5000 0.8128 [4 per cell]